No. 1
DFT (PBE) results for a relaxed HoErIr2 crystal.

- Electronic total energy: -7.59 eV/atom
- ρ: 15.00 g/cm3
- Formation energy from the elements: -3.54 eV/f.u.

Cell: 4.8230 4.8230 4.8230 Å, 60.00 60.00 60.00°
With the nearest neighbours (Å) after each atom.
Fractional coordinates of all 4 atoms:
1 Ho 0.0000 0.0000 0.0000  8 Ir 2.95
2 Er 0.5000 0.5000 0.5000  8 Ir 2.95
3 Ir 0.7500 0.7500 0.7500  4 Ho 2.95, 4 Er 2.95
4 Ir 0.2500 0.2500 0.2500  4 Ho 2.95, 4 Er 2.95


No. 2
DFT (PBE) results for a relaxed HoErMg2 crystal.

- Electronic total energy: -3.16 eV/atom
- ρ: 5.91 g/cm3
- Formation energy from the elements: -0.27 eV/f.u.

Cell: 5.3302 5.3302 5.3302 Å, 60.00 60.00 60.00°
With the nearest neighbours (Å) after each atom.
Fractional coordinates of all 4 atoms:
1 Ho 0.0000 0.0000 0.0000  8 Mg 3.26
2 Er 0.5000 0.5000 0.5000  8 Mg 3.26
3 Mg 0.2500 0.2500 0.2500  4 Ho 3.26, 4 Er 3.26
4 Mg 0.7500 0.7500 0.7500  4 Ho 3.26, 4 Er 3.26


No. 3
DFT (PBE) results for a relaxed HoErPd2 crystal.

- Electronic total energy: -5.80 eV/atom
- ρ: 10.70 g/cm3
- Formation energy from the elements: -3.67 eV/f.u.

Cell: 4.9269 4.9269 4.9269 Å, 60.00 60.00 60.00°
With the nearest neighbours (Å) after each atom.
Fractional coordinates of all 4 atoms:
1 Ho 0.0000 0.0000 0.0000  8 Pd 3.02
2 Er 0.5000 0.5000 0.5000  8 Pd 3.02
3 Pd 0.2500 0.2500 0.2500  4 Ho 3.02, 4 Er 3.02
4 Pd 0.7500 0.7500 0.7500  4 Ho 3.02, 4 Er 3.02


No. 4
DFT (PBE) results for a relaxed HoErRu2 crystal.

- Electronic total energy: -7.30 eV/atom
- ρ: 11.45 g/cm3
- Formation energy from the elements: -1.48 eV/f.u.

Cell: 4.7854 4.7854 4.7854 Å, 60.00 60.00 60.00°
With the nearest neighbours (Å) after each atom.
Fractional coordinates of all 4 atoms:
1 Ho 0.5000 0.5000 0.5000  8 Ru 2.93
2 Er 0.0000 0.0000 0.0000  8 Ru 2.93
3 Ru 0.7500 0.7500 0.7500  4 Ho 2.93, 4 Er 2.93
4 Ru 0.2500 0.2500 0.2500  4 Ho 2.93, 4 Er 2.93


No. 5
DFT (PBE) results for a relaxed HoErZn2 crystal.

- Electronic total energy: -3.27 eV/atom
- ρ: 8.64 g/cm3
- Formation energy from the elements: -1.41 eV/f.u.

Cell: 5.0112 5.0112 5.0112 Å, 60.00 60.00 60.00°
With the nearest neighbours (Å) after each atom.
Fractional coordinates of all 4 atoms:
1 Ho 0.0000 0.0000 0.0000  8 Zn 3.07
2 Er 0.5000 0.5000 0.5000  8 Zn 3.07
3 Zn 0.7500 0.7500 0.7500  4 Ho 3.07, 4 Er 3.07
4 Zn 0.2500 0.2500 0.2500  4 Ho 3.07, 4 Er 3.07


No. 6
DFT (PBE) results for a relaxed Er4I5 crystal.

- Electronic total energy: -3.80 eV/atom
- MP2020-corrected energy: -4.014 eV/atom
- ρ: 6.99 g/cm3
- Formation energy from the elements: -10.23 eV/f.u.

Cell: 9.4643 9.4643 8.7529 Å, 76.63 76.63 23.98°
With the nearest neighbours (Å) after each atom.
Fractional coordinates of all 9 atoms:
1 Er 0.0004 0.0004 0.1961  4 I 3.08-3.31, 1 Er 3.44
2 Er 0.9996 0.9996 0.8039  4 I 3.08-3.31, 1 Er 3.44
3 Er 0.6335 0.6335 0.9325  4 I 3.08-3.12
4 Er 0.3665 0.3665 0.0675  4 I 3.08-3.12
5 I 0.1679 0.1679 0.6535  3 Er 3.08
6 I 0.8321 0.8321 0.3465  3 Er 3.08
7 I 0.1746 0.1746 0.1752  4 Er 3.12-3.45
8 I 0.8254 0.8254 0.8248  4 Er 3.12-3.45
9 I 0.5000 0.5000 0.5000  4 Er 3.31


No. 7
DFT (PBE) results for a relaxed ErI3 crystal.

- Electronic total energy: -3.63 eV/atom
- MP2020-corrected energy: -3.912 eV/atom
- ρ: 4.36 g/cm3
- Formation energy from the elements: -6.51 eV/f.u.

Cell: 11.0089 11.0089 3.9803 Å, 90.00 90.00 120.00°
With the nearest neighbours (Å) after each atom.
Fractional coordinates of all 8 atoms:
1 Er 0.3333 0.6667 0.7500  6 I 3.05
2 Er 0.6667 0.3333 0.2500  6 I 3.05
3 I 0.2119 0.4239 0.2500  2 Er 3.05
4 I 0.5761 0.7881 0.2500  2 Er 3.05
5 I 0.2119 0.7881 0.2500  2 Er 3.05
6 I 0.7881 0.5761 0.7500  2 Er 3.05
7 I 0.4239 0.2119 0.7500  2 Er 3.05
8 I 0.7881 0.2119 0.7500  2 Er 3.05


No. 8
DFT (PBE) results for a relaxed Er7IrI12 crystal.

- Electronic total energy: -4.22 eV/atom
- MP2020-corrected energy: -4.443 eV/atom
- ρ: 6.18 g/cm3
- Formation energy from the elements: -29.75 eV/f.u.

Cell: 9.7568 9.7568 9.7568 Å, 106.90 106.90 106.90°
With the nearest neighbours (Å) after each atom.
Fractional coordinates of all 20 atoms:
1 Er 0.0933 0.0231 0.2941  1 Ir 2.66
2 Er 0.2941 0.0933 0.0231  1 Ir 2.66
3 Er 0.0231 0.2941 0.0933  1 Ir 2.66
4 Er 0.9067 0.9769 0.7059  1 Ir 2.66
5 Er 0.7059 0.9067 0.9769  1 Ir 2.66
6 Er 0.9769 0.7059 0.9067  1 Ir 2.66
7 Er 0.5000 0.5000 0.5000  6 I 3.02
8 Ir 0.0000 0.0000 0.0000  6 Er 2.66
9 I 0.0697 0.6746 0.2246  3 Er 3.10-3.40
10 I 0.2246 0.0697 0.6746  3 Er 3.10-3.40
11 I 0.6746 0.2246 0.0697  3 Er 3.10-3.40
12 I 0.9303 0.3254 0.7754  3 Er 3.10-3.40
13 I 0.7754 0.9303 0.3254  3 Er 3.10-3.40
14 I 0.3254 0.7754 0.9303  3 Er 3.10-3.40
15 I 0.4654 0.1635 0.3889  3 Er 3.02-3.23
16 I 0.3889 0.4654 0.1635  3 Er 3.02-3.23
17 I 0.1635 0.3889 0.4654  3 Er 3.02-3.23
18 I 0.5346 0.8365 0.6111  3 Er 3.02-3.23
19 I 0.6111 0.5346 0.8365  3 Er 3.02-3.23
20 I 0.8365 0.6111 0.5346  3 Er 3.02-3.23


No. 9
DFT (PBE) results for a relaxed Er2I2O crystal.

- Electronic total energy: -4.40 eV/atom
- MP2020-corrected energy: -4.535 eV/atom
- ρ: 4.07 g/cm3
- Formation energy from the elements: -5.54 eV/f.u.

Cell: 4.2123 4.2123 13.8908 Å, 90.00 90.00 90.00°
With the nearest neighbours (Å) after each atom.
Fractional coordinates of all 5 atoms:
1 Er 0.5000 0.5000 0.1462  1 O 2.03
2 Er 0.5000 0.5000 0.8538  1 O 2.03
3 I 0.5000 0.5000 0.6505  1 Er 2.82
4 I 0.5000 0.5000 0.3495  1 Er 2.82
5 O 0.5000 0.5000 0.0000  2 Er 2.03


No. 10
DFT (PBE) results for a relaxed ErI3O10 crystal.

- Electronic total energy: -4.73 eV/atom
- ρ: 5.00 g/cm3
- Formation energy from the elements: -7.65 eV/f.u.

Cell: 10.2245 7.2555 12.9534 Å, 77.94 90.00 90.00°
With the nearest neighbours (Å) after each atom.
Fractional coordinates of all 56 atoms:
1 Er 0.6901 0.8573 0.6370  6 O 2.21-2.43
2 Er 0.1901 0.1427 0.8630  6 O 2.21-2.43
3 Er 0.3099 0.1427 0.3630  6 O 2.21-2.43
4 Er 0.8099 0.8573 0.1370  6 O 2.21-2.43
5 I 0.3252 0.8411 0.6333  2 O 1.87-1.88
6 I 0.8252 0.1589 0.8667  2 O 1.87-1.88
7 I 0.6748 0.1589 0.3667  2 O 1.87-1.88
8 I 0.1748 0.8411 0.1333  2 O 1.87-1.88
9 I 0.8954 0.6545 0.8840  2 O 1.89-1.90
10 I 0.3954 0.3455 0.6160  2 O 1.89-1.90
11 I 0.1046 0.3455 0.1160  2 O 1.89-1.90
12 I 0.6046 0.6545 0.3840  2 O 1.89-1.90
13 I 0.4883 0.8223 0.9354  2 O 1.99-2.02
14 I 0.9883 0.1777 0.5646  2 O 1.99-2.02
15 I 0.5117 0.1777 0.0646  2 O 1.99-2.02
16 I 0.0117 0.8223 0.4354  2 O 1.99-2.02
17 O 0.7577 0.1319 0.6945  1 O 1.43
18 O 0.2577 0.8681 0.8055  1 O 1.43
19 O 0.2423 0.8681 0.3055  1 O 1.43
20 O 0.7423 0.1319 0.1945  1 O 1.43
21 O 0.8806 0.9701 0.5304  1 I 1.99
22 O 0.3806 0.0299 0.9696  1 I 1.99
23 O 0.1194 0.0299 0.4696  1 I 1.99
24 O 0.6194 0.9701 0.0304  1 I 1.99
25 O 0.9038 0.6351 0.7068  1 O 1.42
26 O 0.4038 0.3649 0.7932  1 O 1.42
27 O 0.0962 0.3649 0.2932  1 O 1.42
28 O 0.5962 0.6351 0.2068  1 O 1.42
29 O 0.7450 0.7826 0.8216  1 I 1.89
30 O 0.2450 0.2174 0.6784  1 I 1.89
31 O 0.2550 0.2174 0.1784  1 I 1.89
32 O 0.7550 0.7826 0.3216  1 I 1.89
33 O 0.6232 0.1043 0.5087  1 I 1.88
34 O 0.1232 0.8957 0.9913  1 I 1.88
35 O 0.3768 0.8957 0.4913  1 I 1.88
36 O 0.8768 0.1043 0.0087  1 I 1.88
37 O 0.6539 0.6760 0.5228  1 I 1.90
38 O 0.1539 0.3240 0.9772  1 I 1.90
39 O 0.3461 0.3240 0.4772  1 I 1.90
40 O 0.8461 0.6760 0.0228  1 I 1.90
41 O 0.5901 0.5138 0.7262  1 O 1.34
42 O 0.0901 0.4862 0.7738  1 O 1.34
43 O 0.4098 0.4862 0.2738  1 O 1.34
44 O 0.9098 0.5138 0.2262  1 O 1.34
45 O 0.4857 0.9044 0.6868  1 I 1.87
46 O 0.9857 0.0956 0.8132  1 I 1.87
47 O 0.5143 0.0956 0.3132  1 I 1.87
48 O 0.0143 0.9044 0.1868  1 I 1.87
49 O 0.8178 0.2718 0.6139  1 O 1.43
50 O 0.3178 0.7282 0.8861  1 O 1.43
51 O 0.1822 0.7282 0.3861  1 O 1.43
52 O 0.6822 0.2718 0.1139  1 O 1.43
53 O 0.0131 0.5253 0.6881  2 O 1.34-1.42
54 O 0.5131 0.4747 0.8119  2 O 1.34-1.42
55 O 0.9869 0.4747 0.3119  2 O 1.34-1.42
56 O 0.4869 0.5253 0.1881  2 O 1.34-1.42


No. 11
DFT (PBE) results for a relaxed ErSI crystal.

- Electronic total energy: -4.83 eV/atom
- MP2020-corrected energy: -5.124 eV/atom
- ρ: 6.07 g/cm3
- Formation energy from the elements: -5.14 eV/f.u.

Cell: 4.4906 4.4906 5.1100 Å, 90.00 90.00 120.00°
With the nearest neighbours (Å) after each atom.
Fractional coordinates of all 3 atoms:
1 Er 0.3333 0.6667 0.0000  3 S 2.59
2 S 0.0000 0.0000 0.0000  3 Er 2.59
3 I 0.6667 0.3333 0.5000  6 S 3.64, 6 Er 3.64


No. 12
DFT (PBE) results for a relaxed Er3In crystal.

- Electronic total energy: -4.36 eV/atom
- ρ: 9.16 g/cm3
- Formation energy from the elements: -0.98 eV/f.u.

Cell: 6.8598 6.8598 5.4866 Å, 90.00 90.00 120.00°
With the nearest neighbours (Å) after each atom.
Fractional coordinates of all 8 atoms:
1 Er 0.8298 0.1702 0.7500  8 Er 3.36-3.50, 4 In 3.36-3.43
2 Er 0.3404 0.1702 0.7500  8 Er 3.36-3.50, 4 In 3.36-3.43
3 Er 0.8298 0.6596 0.7500  8 Er 3.36-3.50, 4 In 3.36-3.43
4 Er 0.1702 0.8298 0.2500  8 Er 3.36-3.50, 4 In 3.36-3.43
5 Er 0.6596 0.8298 0.2500  8 Er 3.36-3.50, 4 In 3.36-3.43
6 Er 0.1702 0.3404 0.2500  8 Er 3.36-3.50, 4 In 3.36-3.43
7 In 0.6667 0.3333 0.2500  12 Er 3.36-3.43
8 In 0.3333 0.6667 0.7500  12 Er 3.36-3.43